(1)
{
  "formula": "TmZn3",
  "functional": "r²SCAN",
  "state": "optimized geometry",
  "cell": [[6.590, 0.000, 0.000], [0.000, 4.275, 0.000], [0.000, 0.000, 9.900]],
  "species": ["Tm", "Tm", "Tm", "Tm", "Zn", "Zn", "Zn", "Zn", "Zn", "Zn", "Zn", "Zn", "Zn", "Zn", "Zn", "Zn"],
  "frac_coords": [[0.220, 0.250, 0.163], [0.280, 0.750, 0.663], [0.720, 0.250, 0.337], [0.780, 0.750, 0.837], [0.037, 0.750, 0.398], [0.081, 0.250, 0.852], [0.217, 0.750, 0.957], [0.283, 0.250, 0.457], [0.419, 0.750, 0.352], [0.463, 0.250, 0.898], [0.537, 0.750, 0.102], [0.581, 0.250, 0.648], [0.717, 0.750, 0.543], [0.783, 0.250, 0.043], [0.919, 0.750, 0.148], [0.963, 0.250, 0.602]],
  "density_g_cm3": 8.70,
  "total_energy_ev_per_fu": -63.4,
  "formation_enthalpy_0k_ev_per_fu": -1.58
}


(2)
{
  "formula": "MgNiO2",
  "functional": "r²SCAN",
  "state": "optimized geometry",
  "cell": [[-2.105, -2.105, 0.000], [-2.105, 0.000, -2.105], [4.113, -6.217, -6.217]],
  "species": ["Mg", "Mg", "Ni", "Ni", "O", "O", "O", "O"],
  "frac_coords": [[0.000, 0.000, 0.000], [0.500, 0.500, 0.500], [0.750, 0.750, 0.750], [0.250, 0.250, 0.250], [0.625, 0.625, 0.124], [0.125, 0.125, 0.624], [0.875, 0.875, 0.376], [0.375, 0.375, 0.876]],
  "density_g_cm3": 5.21,
  "total_energy_ev_per_fu": -36.4,
  "formation_enthalpy_0k_ev_per_fu": -8.33
}


(3)
{
  "formula": "CoO",
  "functional": "r²SCAN",
  "state": "optimized geometry",
  "cell": [[-1.616, 0.824, 2.642], [0.852, -1.210, 2.842], [1.835, 4.903, 1.536]],
  "species": ["Co", "Co", "O", "O"],
  "frac_coords": [[0.001, 0.999, 0.998], [0.001, 0.499, 0.498], [0.249, 0.375, 0.126], [0.249, 0.876, 0.627]],
  "density_g_cm3": 5.45,
  "total_energy_ev_per_fu": -21.5,
  "formation_enthalpy_0k_ev_per_fu": -2.29
}


(4)
{
  "formula": "CoHO2",
  "functional": "r²SCAN",
  "state": "optimized geometry",
  "cell": [[1.424, 0.822, 4.312], [-1.424, 0.822, 4.312], [0.000, -1.645, 4.312]],
  "species": ["Co", "H", "O", "O"],
  "frac_coords": [[0.000, 0.000, 0.000], [0.500, 0.500, 0.500], [0.407, 0.407, 0.407], [0.593, 0.593, 0.593]],
  "density_g_cm3": 5.04,
  "total_energy_ev_per_fu": -33.6,
  "formation_enthalpy_0k_ev_per_fu": -4.99
}